# 1
34
Lattice="7.491 0.000 0.000 -3.746 6.488 0.000 0.000 0.000 10.746" Properties=species:S:1:pos:R:3 comment="PBE Ge9Pd25, optimized geometry" e_tot_ev_per_cell=-186.5 spacegroup=P-3 volume_a3_per_cell=522 pbc="T T T"
Ge 0.000 0.000 0.000
Ge -1.225 2.223 7.287
Ge 0.000 4.325 10.533
Ge -1.208 6.437 7.287
Ge 1.313 2.172 3.459
Ge 2.433 4.316 7.287
Ge 4.954 0.051 3.459
Ge 3.746 2.163 0.213
Ge 4.970 4.265 3.459
Pd 0.000 0.000 2.673
Pd 0.000 0.000 5.373
Pd 0.000 0.000 8.073
Pd -2.198 4.712 0.861
Pd -0.879 2.465 4.633
Pd -1.839 4.371 8.750
Pd 0.764 2.228 0.861
Pd -1.172 6.016 4.633
Pd 0.880 2.710 8.750
Pd 0.000 4.325 2.613
Pd 0.000 4.325 6.530
Pd 2.312 0.453 9.885
Pd 1.695 1.994 6.113
Pd 2.787 0.593 1.996
Pd 0.959 5.894 8.750
Pd 2.051 4.494 4.633
Pd 1.434 6.035 0.861
Pd 3.746 2.163 4.216
Pd 3.746 2.163 8.133
Pd 2.866 3.778 1.996
Pd 4.917 0.471 6.113
Pd 2.982 4.259 9.885
Pd 5.584 2.117 1.996
Pd 4.625 4.023 6.113
Pd 5.943 1.775 9.885

***

# 2
4
Lattice="-2.081 2.081 3.143 2.081 -2.081 3.143 2.081 2.081 -3.143" Properties=species:S:1:pos:R:3 comment="PBE Si3Os, optimized geometry" e_tot_ev_per_cell=-26.4 spacegroup=I4/mmm volume_a3_per_cell=54 pbc="T T T"
Si 0.000 0.000 0.000
Si 2.081 0.000 1.571
Si 0.000 2.081 1.571
Os 0.000 0.000 3.143

***

# 3
23
Lattice="-4.930 4.930 4.930 4.930 -4.930 4.930 4.930 4.930 -4.930" Properties=species:S:1:pos:R:3 comment="PBE Ce6Cd4Pd13, optimized geometry" e_tot_ev_per_cell=-122.2 spacegroup=Im-3m volume_a3_per_cell=479 pbc="T T T"
Ce 2.959 0.000 0.000
Ce 6.902 0.000 0.000
Ce 0.000 2.959 0.000
Ce 0.000 0.000 2.959
Ce 0.000 6.902 0.000
Ce 0.000 0.000 6.902
Cd 2.465 2.465 -2.465
Cd 2.465 -2.465 2.465
Cd -2.465 2.465 2.465
Cd 2.465 2.465 2.465
Pd 0.000 0.000 0.000
Pd 4.930 1.522 -1.522
Pd 4.930 -1.522 1.522
Pd 4.930 1.522 1.522
Pd 1.522 4.930 -1.522
Pd 3.408 3.408 0.000
Pd 1.522 -1.522 4.930
Pd 3.408 0.000 3.408
Pd -1.522 4.930 1.522
Pd 1.522 4.930 1.522
Pd -1.522 1.522 4.930
Pd 1.522 1.522 4.930
Pd 0.000 3.408 3.408

***

# 4
8
Lattice="5.844 0.000 0.000 0.000 5.844 0.000 0.000 0.000 5.844" Properties=species:S:1:pos:R:3 comment="PBE Rb3NaH4, optimized geometry" e_tot_ev_per_cell=-18.6 spacegroup=Pm-3m volume_a3_per_cell=200 pbc="T T T"
Rb 0.000 0.000 2.922
Rb 0.000 2.922 0.000
Rb 2.922 0.000 0.000
Na 2.922 2.922 2.922
H 0.000 0.000 0.000
H 0.000 2.922 2.922
H 2.922 0.000 2.922
H 2.922 2.922 0.000

***

# 5
64
Lattice="9.155 0.000 0.000 0.000 5.292 0.000 -5.765 0.000 15.665" Properties=species:S:1:pos:R:3 comment="PBE HfP2H4O9, optimized geometry" e_tot_ev_per_cell=-448.4 spacegroup=P2_1/c volume_a3_per_cell=759 pbc="T T T"
Hf -0.592 1.297 7.592
Hf -3.475 1.349 15.424
Hf 6.865 3.943 0.241
Hf 3.983 3.995 8.073
P -2.238 3.944 6.109
P -5.120 3.994 13.941
P 0.790 3.966 9.431
P 3.673 3.972 1.599
P -0.282 1.320 14.066
P 2.600 1.326 6.233
P 8.511 1.298 1.724
P 5.629 1.348 9.556
H 0.065 0.520 3.632
H -2.817 2.126 11.464
H 0.497 3.132 3.763
H -2.385 4.807 11.595
H 0.829 3.921 5.040
H -2.054 4.017 12.873
H -0.367 3.966 11.340
H 2.515 3.972 3.508
H 0.876 1.320 12.157
H 3.758 1.326 4.325
H 5.444 1.275 2.792
H 2.562 1.371 10.624
H 5.776 0.486 4.069
H 2.893 2.160 11.902
H 6.208 3.166 4.201
H 3.326 4.772 12.033
O -4.586 0.110 14.200
O -1.704 2.536 6.368
O -3.170 1.269 11.110
O -0.287 1.377 3.278
O -2.257 1.030 8.761
O 0.625 1.616 0.929
O -4.051 2.921 14.176
O -1.168 5.018 6.343
O -1.991 3.953 11.900
O 0.891 3.985 4.068
O -0.082 2.916 8.730
O 2.800 5.023 0.897
O -1.785 1.036 14.246
O 1.098 1.610 6.414
O 0.437 0.070 8.890
O 3.319 2.576 1.058
O -0.066 1.255 12.513
O 2.816 1.391 4.681
O 0.574 3.901 10.984
O 3.456 4.037 3.151
O 0.072 2.716 14.607
O 2.954 5.222 6.774
O 2.293 3.682 9.251
O 5.175 4.256 1.418
O 0.590 0.270 14.767
O 3.473 2.377 6.935
O 2.499 1.307 11.597
O 5.382 1.339 3.765
O 4.559 0.275 9.321
O 7.441 2.371 1.489
O 2.765 3.676 14.736
O 5.648 4.262 6.904
O 3.678 3.915 12.387
O 6.560 4.023 4.554
O 5.094 2.756 9.297
O 7.976 5.182 1.465

***

# 6
28
Lattice="10.191 0.000 0.000 -5.095 8.825 0.000 0.000 0.000 6.932" Properties=species:S:1:pos:R:3 comment="PBE Sr2C2N3, optimized geometry" e_tot_ev_per_cell=-194.1 spacegroup=P6_3/mmc volume_a3_per_cell=623 pbc="T T T"
Sr 0.000 3.494 1.733
Sr -2.070 7.079 1.733
Sr 0.000 5.884 5.199
Sr 3.025 1.747 5.199
Sr 2.070 7.079 1.733
Sr 5.095 2.942 1.733
Sr 7.165 1.747 5.199
Sr 5.095 5.332 5.199
C 0.000 0.000 1.733
C 0.000 0.000 5.199
C -2.548 4.413 0.000
C -2.548 4.413 3.466
C 5.095 0.000 0.000
C 5.095 0.000 3.466
C 2.548 4.413 0.000
C 2.548 4.413 3.466
N -1.488 5.025 0.201
N -1.488 5.025 3.265
N 1.488 5.025 0.201
N 1.488 5.025 3.265
N 0.000 7.601 0.201
N 0.000 7.601 3.265
N 5.095 1.224 3.667
N 5.095 1.224 6.731
N 3.608 3.801 3.667
N 3.608 3.801 6.731
N 6.583 3.801 3.667
N 6.583 3.801 6.731

***

Number 1: formation enthalpy at 0 K -0.45 eV/atom. Number 2: formation enthalpy at 0 K 0.27 eV/atom. Number 3: formation enthalpy at 0 K -0.68 eV/atom. Number 4: formation enthalpy at 0 K -0.18 eV/atom. Number 5: formation enthalpy at 0 K -2.46 eV/atom. Number 6: formation enthalpy at 0 K -0.39 eV/atom.